No. 1
Li6V3P8O29 GGA+U optimized geometry; formation energy = -2.655 eV/atom
1.0
9.793 0.000 0.000
4.896 8.493 0.000
0.109 0.120 14.007
Li V P O
12 6 16 58
Cartesian
0.000 0.000 0.000 Li
2.077 3.553 6.356 Li
4.244 5.723 1.732 Li
2.798 0.857 1.754 Li
5.028 4.666 8.780 Li
7.312 7.270 7.718 Li
7.347 6.141 1.035 Li
6.319 3.645 0.039 Li
7.701 3.747 7.043 Li
9.803 7.343 0.042 Li
9.755 5.858 8.768 Li
14.045 7.439 7.108 Li
4.944 2.904 11.388 V
4.292 1.739 4.455 V
11.326 6.626 11.393 V
9.170 2.854 4.323 V
12.524 6.562 4.385 V
9.856 1.840 11.363 V
2.166 3.687 2.731 P
4.431 7.370 10.118 P
5.053 8.485 3.042 P
4.416 5.856 12.677 P
1.480 0.679 5.630 P
5.013 4.649 5.690 P
2.886 0.790 12.717 P
9.000 8.524 10.116 P
6.334 3.910 3.111 P
9.625 7.272 3.098 P
7.765 3.928 10.075 P
8.986 4.732 12.649 P
9.636 5.793 5.700 P
7.100 0.960 13.067 P
7.070 0.919 6.068 P
11.951 3.807 9.713 P
2.183 3.656 1.246 O
2.934 4.953 3.292 O
4.105 5.900 5.712 O
1.363 0.971 12.694 O
4.825 6.618 8.862 O
4.839 6.607 13.923 O
5.873 8.472 1.770 O
5.936 8.277 6.753 O
5.060 6.573 11.389 O
6.093 8.365 4.257 O
3.629 3.879 10.229 O
2.831 2.392 3.328 O
4.105 3.400 5.511 O
3.602 2.144 12.482 O
2.988 0.937 5.670 O
5.020 4.428 12.682 O
5.952 4.823 4.404 O
8.081 8.406 8.961 O
5.875 4.565 6.925 O
5.951 4.703 1.868 O
8.248 8.601 13.988 O
8.157 8.329 11.491 O
6.220 3.776 10.140 O
5.536 2.609 3.243 O
4.862 1.363 10.262 O
4.188 0.216 3.152 O
5.623 0.923 5.449 O
6.437 2.273 12.488 O
7.995 4.881 13.772 O
9.030 6.531 4.401 O
8.158 4.930 11.264 O
9.155 6.595 1.841 O
9.230 6.525 6.945 O
8.174 4.600 8.784 O
7.837 3.700 3.165 O
9.998 7.324 10.149 O
11.177 8.227 12.525 O
6.995 0.863 0.555 O
7.776 2.178 5.443 O
9.049 4.368 5.678 O
9.982 5.925 12.665 O
7.130 0.975 7.551 O
8.438 2.570 10.295 O
11.168 7.250 3.262 O
9.705 3.386 12.576 O
11.180 5.662 5.497 O
12.685 8.121 5.506 O
8.565 0.879 12.489 O
11.141 5.045 10.230 O
10.523 3.723 3.388 O
9.135 1.278 3.228 O
12.693 7.372 10.316 O
12.688 5.813 12.488 O
10.551 2.051 5.553 O
11.901 3.784 8.210 O
9.897 0.283 10.165 O
11.262 2.560 10.382 O
13.943 7.232 3.120 O

=====

No. 2
LaBMoO6 GGA+U optimized geometry; formation energy = -2.845 eV/atom
1.0
10.420 0.000 0.000
0.000 4.196 0.000
-10.161 0.000 21.768
La B Mo O
8 8 8 48
Cartesian
-0.655 1.024 5.108 La
-5.736 1.074 15.992 La
-1.769 2.988 11.228 La
3.312 3.305 0.344 La
-3.053 0.890 21.424 La
2.027 1.207 10.540 La
5.994 3.121 5.776 La
0.914 3.172 16.660 La
-1.485 2.795 7.534 B
-6.566 3.498 18.418 B
-0.914 0.697 8.808 B
-5.994 1.401 19.692 B
6.253 2.794 2.076 B
1.172 3.499 12.960 B
6.825 0.698 3.350 B
1.744 1.400 14.234 B
-0.561 2.835 1.964 Mo
-5.641 3.459 12.848 Mo
3.215 0.835 3.488 Mo
-1.866 1.263 14.372 Mo
2.124 2.933 7.396 Mo
-2.956 3.360 18.280 Mo
5.900 0.737 8.920 Mo
0.819 1.361 19.804 Mo
-5.735 1.040 13.013 O
-0.655 1.058 2.129 O
-7.121 3.085 17.271 O
-2.040 3.209 6.387 O
-5.778 3.113 14.670 O
-0.698 3.180 3.786 O
-8.168 1.003 20.863 O
-3.088 1.095 9.979 O
-4.068 3.134 12.078 O
1.012 3.159 1.194 O
-6.231 0.663 18.524 O
-1.150 1.435 7.640 O
-6.326 2.761 19.585 O
-1.245 3.532 8.701 O
-3.443 0.937 15.140 O
1.638 1.161 4.256 O
-4.392 3.003 17.229 O
0.689 3.291 6.345 O
-1.732 0.910 12.550 O
3.349 1.188 1.666 O
-5.437 0.966 20.830 O
-0.357 1.132 9.946 O
-1.778 3.038 14.201 O
3.303 3.256 3.317 O
-3.044 0.940 18.451 O
2.036 1.158 7.567 O
0.615 3.064 11.823 O
5.696 3.230 0.939 O
-3.090 3.007 20.102 O
1.990 3.286 9.218 O
-0.430 0.905 15.424 O
4.651 1.193 4.539 O
-1.379 3.035 17.512 O
3.701 3.259 6.628 O
1.504 0.663 13.068 O
6.584 1.434 2.184 O
1.409 2.761 14.128 O
6.490 3.532 3.244 O
-0.754 1.037 20.575 O
4.327 1.061 9.690 O
3.346 3.101 11.789 O
8.427 3.193 0.905 O
0.956 1.016 17.982 O
6.037 1.082 7.098 O
2.299 0.987 15.381 O
7.379 1.111 4.497 O
0.913 3.138 19.639 O
5.994 3.156 8.755 O

=====

Question: What is the formation energy in the first record?
Answer: -2.655 eV/atom

=====

Question: Which value of formation energy does entry 1 give?
Answer: -2.655 eV/atom

=====

Question: formation energy of number 1 (Li6V3P8O29)?
Answer: -2.655 eV/atom

=====

Question: What is the formula in the first record?
Answer: Li6V3P8O29